Compound: Li2MnCo3O8
Source: the Materials Project database
Functional: GGA+U
Structure: optimized geometry

Output
- ΔE_f (eV/atom) = -1.63
- energy above the lowest structure with this stoichiometry (eV/atom) = 0.046

Cell and atoms, written as CIF:
```
data_Li2MnCo3O8
_chemical_formula_sum 'Li4 Mn2 Co6 O16'
_space_group_name_H-M_alt 'C 1 2/m 1'
_space_group_IT_number 12
_cell_length_a 9.774
_cell_length_b 5.694
_cell_length_c 5.828
_cell_angle_alpha 90.00
_cell_angle_beta 122.46
_cell_angle_gamma 90.00
loop_
_space_group_symop_operation_xyz
'x,y,z'
'-x,-y,-z'
'-x,y,-z'
'x,-y,z'
'x+1/2,y+1/2,z'
'-x+1/2,-y+1/2,-z'
'-x+1/2,y+1/2,-z'
'x+1/2,-y+1/2,z'
loop_
_atom_site_label
_atom_site_type_symbol
_atom_site_fract_x
_atom_site_fract_y
_atom_site_fract_z
Li1 Li 0.250 0.250 0.000
Mn1 Mn 0.000 0.000 0.500
Co1 Co 0.000 0.500 0.500
Co2 Co 0.250 0.250 0.500
O1 O 0.016 0.255 0.298
O2 O 0.230 0.500 0.705
O3 O 0.232 0.000 0.710
```